LaSb | GGA-PBE | relaxed

Structure (POSCAR):
```
LaSb
1.0
-1.7851 -2.9205 2.3827
-0.7306 -2.3182 -3.3889
3.1065 -1.5693 0.4038
Sb La
1 1
direct
0.5000 0.5000 0.5000
0.0000 0.0000 0.0000
```

Its volume is 60.9 Å³/cell. The calculation puts the formation energy at -1147 meV per atom. As for the magnetic moment: 0.00 Bohr magnetons per cell. The electronic total energy is -5.5833 eV per atom. The calculation puts the MP2020-corrected energy at -5.679 eV/atom.